[1]
A plane-wave DFT calculation with GGA-PBE was carried out for a geometry-optimized SmAlGe2O7 structure.

Computed properties:
Total magnetization: 0.00 μB/f.u.
Crystal system: monoclinic
Space-group type: P2_1/c
Energy relative to the elements: -2.87 eV/atom

Cell lengths 7.2809, 6.5722, 12.8210 Å; angles 90.00, 117.55, 90.00 degrees
Closest atoms and distances in Å follow each position.
Fractional coordinates of all 44 atoms:
Sm1 0.2396 0.1468 0.4731  6 O 2.34-2.54
Sm2 0.2396 0.3532 0.9731  6 O 2.34-2.54
Sm3 0.7604 0.6468 0.0269  6 O 2.34-2.54
Sm4 0.7604 0.8532 0.5269  6 O 2.34-2.54
Al1 0.2123 0.1022 0.7296  5 O 1.80-1.95
Al2 0.2123 0.3978 0.2296  5 O 1.80-1.95
Al3 0.7877 0.6022 0.7704  5 O 1.80-1.95
Al4 0.7877 0.8978 0.2704  5 O 1.80-1.95
Ge1 0.2106 0.6579 0.4514  4 O 1.73-1.80
Ge2 0.2106 0.8421 0.9514  4 O 1.73-1.80
Ge3 0.3028 0.5900 0.7202  4 O 1.77-1.83
Ge4 0.3028 0.9100 0.2202  4 O 1.77-1.83
Ge5 0.6972 0.0900 0.7798  4 O 1.77-1.83
Ge6 0.6972 0.4100 0.2798  4 O 1.77-1.83
Ge7 0.7894 0.1579 0.0486  4 O 1.73-1.80
Ge8 0.7894 0.3421 0.5486  4 O 1.73-1.80
O1 0.0073 0.6581 0.9156  1 Ge 1.80, 1 Al 1.85
O2 0.0073 0.8419 0.4156  1 Ge 1.80, 1 Al 1.85
O3 0.1587 0.6815 0.1870  1 Ge 1.77, 1 Al 1.93
O4 0.1587 0.8185 0.6870  1 Ge 1.77, 1 Al 1.93
O5 0.2045 0.0539 0.8656  1 Ge 1.76, 1 Al 1.80
O6 0.2045 0.4461 0.3656  1 Ge 1.76, 1 Al 1.80
O7 0.2236 0.1156 0.2786  1 Ge 1.77, 1 Al 1.95
O8 0.2236 0.3844 0.7786  1 Ge 1.77, 1 Al 1.95
O9 0.2477 0.0008 0.0734  2 Ge 1.79-1.83
O10 0.2477 0.4992 0.5734  2 Ge 1.79-1.83
O11 0.4087 0.6736 0.9770  1 Ge 1.73
O12 0.4087 0.8264 0.4770  1 Ge 1.73
O13 0.4266 0.1242 0.6961  1 Ge 1.77, 1 Al 1.81
O14 0.4266 0.3758 0.1961  1 Ge 1.77, 1 Al 1.81
O15 0.5734 0.6242 0.8039  1 Ge 1.77, 1 Al 1.81
O16 0.5734 0.8758 0.3039  1 Ge 1.77, 1 Al 1.81
O17 0.5913 0.1736 0.5230  1 Ge 1.73
O18 0.5913 0.3264 0.0230  1 Ge 1.73
O19 0.7523 0.5008 0.4266  2 Ge 1.79-1.83
O20 0.7523 0.9992 0.9266  2 Ge 1.79-1.83
O21 0.7764 0.6156 0.2214  1 Ge 1.77, 1 Al 1.95
O22 0.7764 0.8844 0.7214  1 Ge 1.77, 1 Al 1.95
O23 0.7955 0.5539 0.6344  1 Ge 1.76, 1 Al 1.80
O24 0.7955 0.9461 0.1344  1 Ge 1.76, 1 Al 1.80
O25 0.8413 0.1815 0.3130  1 Ge 1.77, 1 Al 1.93
O26 0.8413 0.3185 0.8130  1 Ge 1.77, 1 Al 1.93
O27 0.9927 0.1581 0.5844  1 Ge 1.80, 1 Al 1.85
O28 0.9927 0.3419 0.0844  1 Ge 1.80, 1 Al 1.85



[2]
A plane-wave DFT calculation with GGA-PBE was carried out for a geometry-optimized TbAlGe2O7 structure.

Computed properties:
Total magnetization: 0.00 μB/f.u.
Crystal system: monoclinic
Space-group type: P2_1/c
Energy relative to the elements: -2.88 eV/atom

Cell lengths 7.2199, 6.5396, 12.7135 Å; angles 90.00, 117.60, 90.00 degrees
Closest atoms and distances in Å follow each position.
Fractional coordinates of all 44 atoms:
Tb1 0.2418 0.1458 0.4719  6 O 2.29-2.50
Tb2 0.2418 0.3542 0.9719  6 O 2.29-2.50
Tb3 0.7582 0.6458 0.0281  6 O 2.29-2.50
Tb4 0.7582 0.8542 0.5281  6 O 2.29-2.50
Al1 0.2109 0.1017 0.7288  5 O 1.80-1.95
Al2 0.2109 0.3983 0.2288  5 O 1.80-1.95
Al3 0.7891 0.6017 0.7712  5 O 1.80-1.95
Al4 0.7891 0.8983 0.2712  5 O 1.80-1.95
Ge1 0.2121 0.6578 0.4523  4 O 1.73-1.79
Ge2 0.2121 0.8422 0.9523  4 O 1.73-1.79
Ge3 0.3024 0.5899 0.7212  4 O 1.76-1.83
Ge4 0.3024 0.9101 0.2212  4 O 1.76-1.83
Ge5 0.6976 0.0899 0.7788  4 O 1.76-1.83
Ge6 0.6976 0.4101 0.2788  4 O 1.76-1.83
Ge7 0.7879 0.1578 0.0477  4 O 1.73-1.79
Ge8 0.7879 0.3422 0.5477  4 O 1.73-1.79
O1 0.0102 0.6553 0.9176  1 Ge 1.79, 1 Al 1.84
O2 0.0102 0.8447 0.4176  1 Ge 1.79, 1 Al 1.84
O3 0.1562 0.6820 0.1867  1 Ge 1.76, 1 Al 1.92
O4 0.1562 0.8180 0.6867  1 Ge 1.76, 1 Al 1.92
O5 0.2059 0.0562 0.8671  1 Ge 1.76, 1 Al 1.80
O6 0.2059 0.4438 0.3671  1 Ge 1.76, 1 Al 1.80
O7 0.2220 0.1156 0.2799  1 Ge 1.76, 1 Al 1.95
O8 0.2220 0.3844 0.7799  1 Ge 1.76, 1 Al 1.95
O9 0.2489 0.0038 0.0744  2 Ge 1.79-1.83
O10 0.2489 0.4962 0.5744  2 Ge 1.79-1.83
O11 0.4107 0.6716 0.9775  1 Ge 1.73
O12 0.4107 0.8284 0.4775  1 Ge 1.73
O13 0.4247 0.1242 0.6932  1 Ge 1.77, 1 Al 1.80
O14 0.4247 0.3758 0.1932  1 Ge 1.77, 1 Al 1.80
O15 0.5753 0.6242 0.8068  1 Ge 1.77, 1 Al 1.80
O16 0.5753 0.8758 0.3068  1 Ge 1.77, 1 Al 1.80
O17 0.5893 0.1716 0.5225  1 Ge 1.73
O18 0.5893 0.3284 0.0225  1 Ge 1.73
O19 0.7511 0.5038 0.4256  2 Ge 1.79-1.83
O20 0.7511 0.9962 0.9256  2 Ge 1.79-1.83
O21 0.7780 0.6156 0.2201  1 Ge 1.76, 1 Al 1.95
O22 0.7780 0.8844 0.7201  1 Ge 1.76, 1 Al 1.95
O23 0.7941 0.5562 0.6329  1 Ge 1.76, 1 Al 1.80
O24 0.7941 0.9438 0.1329  1 Ge 1.76, 1 Al 1.80
O25 0.8438 0.1820 0.3133  1 Ge 1.76, 1 Al 1.92
O26 0.8438 0.3180 0.8133  1 Ge 1.76, 1 Al 1.92
O27 0.9898 0.1553 0.5824  1 Ge 1.79, 1 Al 1.84
O28 0.9898 0.3447 0.0824  1 Ge 1.79, 1 Al 1.84



[3]
A plane-wave DFT calculation with GGA-PBE was carried out for a geometry-optimized YAlGeO5 structure.

Computed properties:
Total magnetization: 0.00 μB/f.u.
Crystal system: orthorhombic
Space-group type: Pbam
Energy relative to the elements: -3.17 eV/atom

Cell lengths 7.3267, 8.4199, 5.6745 Å; angles 90.00, 90.00, 90.00 degrees
Closest atoms and distances in Å follow each position.
Fractional coordinates of all 32 atoms:
Y1 0.1427 0.1739 0.0000  8 O 2.30-2.51
Y2 0.3572 0.6739 0.0000  8 O 2.30-2.51
Y3 0.6428 0.3261 0.0000  8 O 2.30-2.51
Y4 0.8572 0.8261 0.0000  8 O 2.30-2.51
Al1 0.0000 0.5000 0.2496  6 O 1.90-1.95
Al2 0.0000 0.5000 0.7504  6 O 1.90-1.95
Al3 0.5000 0.0000 0.2496  6 O 1.90-1.95
Al4 0.5000 0.0000 0.7504  6 O 1.90-1.95
Ge1 0.1202 0.8557 0.5000  5 O 1.78-1.93
Ge2 0.3798 0.3557 0.5000  5 O 1.78-1.93
Ge3 0.6202 0.6443 0.5000  5 O 1.78-1.93
Ge4 0.8798 0.1443 0.5000  5 O 1.78-1.93
O1 0.0000 0.0000 0.2852  2 Ge 1.93
O2 0.0000 0.0000 0.7148  2 Ge 1.93
O3 0.1057 0.7126 0.2533  1 Ge 1.85, 1 Al 1.95
O4 0.1057 0.7126 0.7467  1 Ge 1.85, 1 Al 1.95
O5 0.1534 0.4311 0.5000  1 Ge 1.78, 2 Al 1.90
O6 0.1609 0.4468 0.0000  2 Al 1.90
O7 0.3391 0.9468 0.0000  2 Al 1.90
O8 0.3466 0.9311 0.5000  1 Ge 1.78, 2 Al 1.90
O9 0.3943 0.2126 0.2533  1 Ge 1.85, 1 Al 1.95
O10 0.3943 0.2126 0.7467  1 Ge 1.85, 1 Al 1.95
O11 0.5000 0.5000 0.2852  2 Ge 1.93
O12 0.5000 0.5000 0.7148  2 Ge 1.93
O13 0.6057 0.7874 0.2533  1 Ge 1.85, 1 Al 1.95
O14 0.6057 0.7874 0.7467  1 Ge 1.85, 1 Al 1.95
O15 0.6534 0.0689 0.5000  1 Ge 1.78, 2 Al 1.90
O16 0.6609 0.0532 0.0000  2 Al 1.90
O17 0.8391 0.5532 0.0000  2 Al 1.90
O18 0.8466 0.5689 0.5000  1 Ge 1.78, 2 Al 1.90
O19 0.8943 0.2874 0.2533  1 Ge 1.85, 1 Al 1.95
O20 0.8943 0.2874 0.7467  1 Ge 1.85, 1 Al 1.95



[4]
A plane-wave DFT calculation with GGA-PBE was carried out for a geometry-optimized Al3GePd4 structure.

Computed properties:
Total magnetization: 0.00 μB/f.u.
Crystal system: trigonal
Space-group type: R3
Energy relative to the elements: -0.78 eV/atom

Cell lengths 4.9298, 4.9298, 4.9298 Å; angles 90.19, 90.19, 90.19 degrees
Closest atoms and distances in Å follow each position.
Fractional coordinates of all 8 atoms:
Al1 0.1070 0.2919 0.6010  7 Pd 2.59-2.71
Al2 0.2919 0.6010 0.1070  7 Pd 2.59-2.71
Al3 0.6010 0.1070 0.2919  7 Pd 2.59-2.71
Ge1 0.7951 0.7951 0.7951  7 Pd 2.57-2.70
Pd1 0.0976 0.0976 0.0976  1 Ge 2.57, 6 Al 2.63-2.66
Pd2 0.3039 0.8012 0.5964  5 Al 2.59-2.71, 2 Ge 2.61-2.70
Pd3 0.5964 0.3039 0.8012  5 Al 2.59-2.71, 2 Ge 2.61-2.70
Pd4 0.8012 0.5964 0.3039  5 Al 2.59-2.71, 2 Ge 2.61-2.70



[5]
A plane-wave DFT calculation with GGA-PBE was carried out for a geometry-optimized Pr2Al3Ge structure.

Computed properties:
Crystal system: orthorhombic
Space-group type: Pmm2
Energy relative to the elements: -0.58 eV/atom

Cell lengths 4.3297, 4.3633, 7.5448 Å; angles 90.00, 90.00, 90.00 degrees
Closest atoms and distances in Å follow each position.
Fractional coordinates of all 6 atoms:
Pr1 0.0000 0.0000 0.0000  10 Al 3.32-3.33, 2 Ge 3.32
Pr2 0.0000 0.5000 0.4970  8 Al 3.31-3.32, 4 Ge 3.31
Al1 0.5000 0.0000 0.6644  1 Ge 2.50, 2 Al 2.52
Al2 0.5000 0.5000 0.1653  2 Ge 2.52, 1 Al 2.52
Al3 0.5000 0.5000 0.8307  3 Al 2.52
Ge1 0.5000 0.0000 0.3332  3 Al 2.50-2.52



[6]
A plane-wave DFT calculation with GGA-PBE was carried out for a geometry-optimized Pr2Al2Ge structure.

Computed properties:
Crystal system: orthorhombic
Space-group type: Cmcm
Energy relative to the elements: -0.63 eV/atom

Cell lengths 13.6401, 13.6401, 4.5120 Å; angles 90.00, 90.00, 162.56 degrees
Closest atoms and distances in Å follow each position.
Fractional coordinates of all 10 atoms:
Pr1 0.0742 0.9258 0.7500  10 Al 3.29-3.35, 2 Ge 3.53
Pr2 0.2957 0.7043 0.2500  5 Ge 3.16-3.25, 2 Al 3.23
Pr3 0.7043 0.2957 0.7500  5 Ge 3.16-3.25, 2 Al 3.23
Pr4 0.9258 0.0742 0.2500  10 Al 3.29-3.35, 2 Ge 3.53
Al1 0.3812 0.6188 0.7500  1 Al 2.56, 2 Ge 2.56
Al2 0.4764 0.5236 0.7500  3 Al 2.56-2.59
Al3 0.5236 0.4764 0.2500  3 Al 2.56-2.59
Al4 0.6188 0.3812 0.2500  1 Al 2.56, 2 Ge 2.56
Ge1 0.1750 0.8250 0.2500  2 Al 2.56
Ge2 0.8250 0.1750 0.7500  2 Al 2.56



[7]
A plane-wave DFT calculation with GGA-PBE was carried out for a geometry-optimized PrAl2Ge2 structure.

Computed properties:
Crystal system: trigonal
Space-group type: P-3m1
Energy relative to the elements: -0.44 eV/atom

Cell lengths 4.3307, 4.3307, 6.9152 Å; angles 90.00, 90.00, 120.00 degrees
Closest atoms and distances in Å follow each position.
Fractional coordinates of all 5 atoms:
Pr1 0.0000 0.0000 0.0000  6 Ge 3.12
Al1 0.3333 0.6667 0.6399  4 Ge 2.56-2.58
Al2 0.6667 0.3333 0.3601  4 Ge 2.56-2.58
Ge1 0.3333 0.6667 0.2692  4 Al 2.56-2.58
Ge2 0.6667 0.3333 0.7308  4 Al 2.56-2.58



[8]
A plane-wave DFT calculation with GGA-PBE was carried out for a geometry-optimized AlGeRu2 structure.

Computed properties:
Crystal system: cubic
Space-group type: Fm-3m
Energy relative to the elements: -0.50 eV/atom

Cell lengths 4.2610, 4.2610, 4.2610 Å; angles 60.00, 60.00, 60.00 degrees
Closest atoms and distances in Å follow each position.
Fractional coordinates of all 4 atoms:
Al1 0.0000 0.0000 0.0000  8 Ru 2.61
Ge1 0.5000 0.5000 0.5000  8 Ru 2.61
Ru1 0.2500 0.2500 0.2500  4 Ge 2.61, 4 Al 2.61
Ru2 0.7500 0.7500 0.7500  4 Ge 2.61, 4 Al 2.61